1.
Here is a relaxed GdSI crystal from Materials Project. Energies are from r²SCAN.

Geometry as POSCAR:
```
GdSI
1.0
4.2548 0.0000 0.0000
0.0000 5.3834 0.0000
0.0000 0.0000 9.5903
Gd S I
2 2 2
Cartesian
1.0637 1.3459 1.1696
3.1911 4.0376 8.4208
1.0637 4.0376 0.6088
3.1911 1.3459 8.9816
1.0637 4.0376 6.1972
3.1911 1.3459 3.3931
```

Properties
The energy relative to the elements comes out at -2.0378 eV/atom.



2.
Here is a relaxed Li2TlAu crystal from Materials Project. Energies are from r²SCAN.

Geometry as POSCAR:
```
Li2TlAu
1.0
0.0000 3.2465 3.2465
3.2465 0.0000 3.2465
3.2465 3.2465 0.0000
Li Tl Au
2 1 1
Cartesian
1.6233 1.6233 1.6233
4.8698 4.8698 4.8698
0.0000 0.0000 0.0000
3.2465 3.2465 3.2465
```

Properties
The energy relative to the elements comes out at -0.4093 eV/atom.



3.
Here is a relaxed V6CoIr crystal from Materials Project. Energies are from r²SCAN.

Geometry as POSCAR:
```
V6CoIr
1.0
4.6989 0.0000 0.0000
0.0000 4.6989 0.0000
0.0000 0.0000 4.6989
V Co Ir
6 1 1
Cartesian
0.0000 1.1544 2.3494
0.0000 3.5445 2.3494
1.1544 2.3494 0.0000
2.3494 0.0000 1.1544
2.3494 0.0000 3.5445
3.5445 2.3494 0.0000
0.0000 0.0000 0.0000
2.3494 2.3494 2.3494
```

Properties
The energy relative to the elements comes out at -0.3379 eV/atom.



4.
Here is a relaxed TbCl3 crystal from Materials Project. Energies are from r²SCAN.

Geometry as POSCAR:
```
TbCl3
1.0
7.4315 0.0000 0.0000
-3.7158 6.4359 0.0000
0.0000 0.0000 4.0200
Tb Cl
2 6
Cartesian
0.0000 4.2906 1.0050
3.7158 2.1453 3.0150
-0.7850 2.5269 3.0150
-1.1349 5.8523 3.0150
1.7958 1.9433 1.0050
1.9199 4.4926 3.0150
4.8507 0.5836 1.0050
4.5008 3.9090 1.0050
```

Properties
The energy relative to the elements comes out at -2.5321 eV/atom.



5.
Here is a relaxed SiO2 crystal from Materials Project. Energies are from r²SCAN.

Geometry as POSCAR:
```
SiO2
1.0
0.0000 9.5942 7.4806
4.6236 0.0000 7.4806
4.6236 9.5942 0.0000
Si O
12 24
Cartesian
6.2223 6.1654 5.4453
7.6906 8.0191 7.4806
3.0537 6.1248 2.3880
1.5699 3.4694 2.3880
7.6906 11.1693 7.4806
3.0249 6.1654 5.4453
6.2223 13.0230 5.4453
7.6772 13.0636 9.8687
3.0249 13.0230 5.4453
1.5566 8.0191 7.4806
6.1935 15.7190 9.8687
1.5566 11.1693 7.4806
1.9206 2.2213 1.4364
4.6236 1.8544 7.1260
6.7498 7.3844 6.3450
2.3118 4.7971 1.8627
2.7029 7.3729 1.4364
4.6236 6.0234 5.5917
7.4084 9.5942 7.5568
2.0004 3.1271 3.9057
6.7498 11.8041 6.3450
2.6232 6.4671 3.9057
4.6236 3.7789 9.8213
2.3118 4.7971 5.9268
7.3265 11.8155 8.9171
2.4973 7.3844 6.3450
4.6236 13.1651 5.5917
6.9353 14.3913 9.3433
7.2468 12.7213 11.3864
2.4973 11.8041 6.3450
6.5442 16.9672 8.9171
1.8388 9.5942 7.5568
4.6236 17.3341 7.1260
6.6239 16.0613 11.3864
6.9353 14.3913 13.4074
4.6236 15.4095 9.8213
```

Properties
The energy relative to the elements comes out at -3.0164 eV/atom.



6.
Here is a relaxed Ba6Ga5N crystal from Materials Project. Energies are from r²SCAN.

Geometry as POSCAR:
```
Ba6Ga5N
1.0
3.9809 2.2984 14.0198
-3.9809 2.2984 14.0198
0.0000 -4.5968 14.0198
Ba Ga N
12 10 2
Cartesian
-2.2798 0.7503 15.5418
-1.7011 -1.5481 22.5517
-2.1912 0.6991 19.5077
0.4901 -2.3495 15.5418
-1.7897 -1.5992 26.5176
0.4901 -2.2472 19.5077
-0.4901 2.2472 22.5517
1.7897 1.5992 15.5418
-0.4901 2.3495 26.5176
2.1912 -0.6991 22.5517
1.7011 1.5481 19.5077
2.2798 -0.7503 26.5176
-1.5851 0.0000 10.5149
0.0000 0.0000 8.3456
0.7926 -1.3727 10.5149
0.0000 0.0000 12.6841
0.7926 1.3727 10.5149
-0.7926 -1.3727 31.5446
0.0000 0.0000 29.3753
-0.7926 1.3727 31.5446
0.0000 0.0000 33.7138
1.5851 0.0000 31.5446
0.0000 0.0000 0.0000
0.0000 0.0000 21.0297
```

Properties
The energy relative to the elements comes out at -0.5123 eV/atom.



7.
Here is a relaxed Ba2SiSe4 crystal from Materials Project. Energies are from r²SCAN.

Geometry as POSCAR:
```
Ba2SiSe4
1.0
6.9701 0.0000 0.0000
0.0000 7.1129 0.0000
-3.0063 0.0000 8.8009
Ba Si Se
4 2 8
Cartesian
1.3321 1.7782 0.3613
0.2893 1.7782 5.0940
3.6744 5.3347 3.7069
2.6316 5.3347 8.4396
-0.9560 5.3347 6.9153
4.9197 1.7782 1.8856
-0.7830 3.5736 2.4227
-0.7830 7.0957 2.4227
2.3300 5.3347 0.3814
0.9444 5.3347 5.6609
3.0193 1.7782 3.1399
1.6337 1.7782 8.4195
4.7467 0.0172 6.3782
4.7467 3.5393 6.3782
```

Properties
The energy relative to the elements comes out at -1.6678 eV/atom.



8.
Here is a relaxed Zr6NiSb2 crystal from Materials Project. Energies are from r²SCAN.

Geometry as POSCAR:
```
Zr6NiSb2
1.0
7.7844 0.0000 0.0000
-3.8922 6.7415 0.0000
0.0000 0.0000 3.6685
Zr Ni Sb
6 1 2
Cartesian
-0.9330 1.6160 0.0000
-2.3257 4.0283 1.8342
1.8660 0.0000 0.0000
1.5665 2.7133 1.8342
4.6514 0.0000 1.8342
2.9592 5.1255 0.0000
0.0000 0.0000 1.8342
0.0000 4.4943 0.0000
3.8922 2.2472 0.0000
```

Properties
The energy relative to the elements comes out at -0.6556 eV/atom.